The following is a PBE-GGA calculation of ErGa2Cu3 after structural relaxation, from the Materials Project.

Summary:
ΔH_f (0 K): -0.36 eV/atom

Unit cell a=5.166 b=8.778 c=4.129 alpha=90.00 beta=90.00 gamma=90.00
Space group Cmmm (No. 65)
One atom of each set of equivalent atoms:
Er 0.000 0.000 0.000 [2 per cell]
Ga 0.250 0.250 0.500 [4 per cell]
Cu 0.000 0.334 0.000 [4 per cell]
Cu 0.000 0.500 0.500 [2 per cell]